(1)
# CsOsNO3 PBE relaxed
# Calculated volume = 22.3 Å³/atom
# Formation enthalpy at 0 K = -1.32 eV per atom
# Crystal system = orthorhombic
data_CsOsNO3
_chemical_formula_sum 'Cs4 Os4 N4 O12'
_symmetry_space_group_name_H-M 'P 1'
_symmetry_Int_Tables_number 1
_cell_length_a 7.4652
_cell_length_b 8.3062
_cell_length_c 8.6137
_cell_angle_alpha 90.00
_cell_angle_beta 90.00
_cell_angle_gamma 90.00
loop_
_symmetry_equiv_pos_as_xyz
'x,y,z'
loop_
_atom_site_label
_atom_site_type_symbol
_atom_site_fract_x
_atom_site_fract_y
_atom_site_fract_z
_atom_site_occupancy
Os1 Os 0.7500 0.3435 0.3801 1
Os2 Os 0.2500 0.8435 0.1199 1
Os3 Os 0.2500 0.6565 0.6199 1
Os4 Os 0.7500 0.1565 0.8801 1
O1 O 0.0556 0.7221 0.1210 1
O2 O 0.4444 0.7221 0.1210 1
O3 O 0.9444 0.2221 0.3790 1
O4 O 0.5556 0.2221 0.3790 1
O5 O 0.0556 0.7779 0.6210 1
O6 O 0.4444 0.7779 0.6210 1
O7 O 0.2500 0.9783 0.9618 1
O8 O 0.2500 0.5217 0.4618 1
O9 O 0.9444 0.2779 0.8790 1
O10 O 0.5556 0.2779 0.8790 1
O11 O 0.7500 0.4783 0.5382 1
O12 O 0.7500 0.0217 0.0382 1
Cs1 Cs 0.2500 0.1532 0.6311 1
Cs2 Cs 0.2500 0.3468 0.1311 1
Cs3 Cs 0.7500 0.6532 0.8689 1
Cs4 Cs 0.7500 0.8468 0.3689 1
N1 N 0.2500 0.5449 0.7859 1
N2 N 0.7500 0.4551 0.2141 1
N3 N 0.2500 0.9551 0.2859 1
N4 N 0.7500 0.0449 0.7141 1

---

(2)
# Sb2OF8 PBE relaxed
# Calculated volume = 17.7 Å³/atom
# Formation enthalpy at 0 K = -2.42 eV per atom
# Crystal system = monoclinic
data_Sb2OF8
_chemical_formula_sum 'Sb8 O4 F32'
_symmetry_space_group_name_H-M 'P 1'
_symmetry_Int_Tables_number 1
_cell_length_a 5.5472
_cell_length_b 9.2486
_cell_length_c 15.6212
_cell_angle_alpha 75.72
_cell_angle_beta 90.00
_cell_angle_gamma 90.00
loop_
_symmetry_equiv_pos_as_xyz
'x,y,z'
loop_
_atom_site_label
_atom_site_type_symbol
_atom_site_fract_x
_atom_site_fract_y
_atom_site_fract_z
_atom_site_occupancy
F1 F 0.3035 0.0935 0.3769 1
F2 F 0.1859 0.5000 0.2500 1
F3 F 0.3211 0.2016 0.0143 1
F4 F 0.1119 0.0619 0.5828 1
F5 F 0.6965 0.9065 0.6231 1
F6 F 0.5329 0.1409 0.6885 1
F7 F 0.4671 0.8591 0.3115 1
F8 F 0.3211 0.7984 0.4857 1
F9 F 0.3035 0.9065 0.1231 1
F10 F 0.5329 0.8591 0.8115 1
F11 F 0.9059 0.3924 0.9304 1
F12 F 0.1119 0.9381 0.9172 1
F13 F 0.8068 0.6327 0.2159 1
F14 F 0.0941 0.3924 0.4304 1
F15 F 0.8068 0.3673 0.2841 1
F16 F 0.1932 0.3673 0.7841 1
F17 F 0.6789 0.2016 0.5143 1
F18 F 0.0941 0.6076 0.0696 1
F19 F 0.6789 0.7984 0.9857 1
F20 F 0.6965 0.0935 0.8769 1
F21 F 0.0523 0.0000 0.2500 1
F22 F 0.8881 0.9381 0.4172 1
F23 F 0.4671 0.1409 0.1885 1
F24 F 0.3772 0.4800 0.6065 1
F25 F 0.8881 0.0619 0.0828 1
F26 F 0.9477 0.0000 0.7500 1
F27 F 0.9059 0.6076 0.5696 1
F28 F 0.8141 0.5000 0.7500 1
F29 F 0.3772 0.5200 0.8935 1
F30 F 0.6228 0.4800 0.1065 1
F31 F 0.6228 0.5200 0.3935 1
F32 F 0.1932 0.6327 0.7159 1
Sb1 Sb 0.0687 0.4654 0.6566 1
Sb2 Sb 0.9313 0.5346 0.3434 1
Sb3 Sb 0.9313 0.4654 0.1566 1
Sb4 Sb 0.0687 0.5346 0.8434 1
Sb5 Sb 0.1952 0.0994 0.1252 1
Sb6 Sb 0.8048 0.9006 0.8748 1
Sb7 Sb 0.1952 0.9006 0.3748 1
Sb8 Sb 0.8048 0.0994 0.6252 1
O1 O 0.0539 0.2861 0.1458 1
O2 O 0.0539 0.7139 0.3542 1
O3 O 0.9461 0.2861 0.6458 1
O4 O 0.9461 0.7139 0.8542 1

---

(3)
# Rb2NaSbF6 PBE relaxed
# Calculated volume = 18.6 Å³/atom
# Formation enthalpy at 0 K = -2.88 eV per atom
# Crystal system = cubic
data_Rb2NaSbF6
_chemical_formula_sum 'Rb2 Na1 Sb1 F6'
_symmetry_space_group_name_H-M 'P 1'
_symmetry_Int_Tables_number 1
_cell_length_a 6.4090
_cell_length_b 6.4090
_cell_length_c 6.4090
_cell_angle_alpha 60.00
_cell_angle_beta 60.00
_cell_angle_gamma 60.00
loop_
_symmetry_equiv_pos_as_xyz
'x,y,z'
loop_
_atom_site_label
_atom_site_type_symbol
_atom_site_fract_x
_atom_site_fract_y
_atom_site_fract_z
_atom_site_occupancy
F1 F 0.7563 0.7563 0.2437 1
F2 F 0.7563 0.2437 0.2437 1
F3 F 0.2437 0.7563 0.7563 1
F4 F 0.2437 0.7563 0.2437 1
F5 F 0.7563 0.2437 0.7563 1
F6 F 0.2437 0.2437 0.7563 1
Rb1 Rb 0.2500 0.2500 0.2500 1
Rb2 Rb 0.7500 0.7500 0.7500 1
Na1 Na 0.5000 0.5000 0.5000 1
Sb1 Sb 0.0000 0.0000 0.0000 1

---

(4)
# SmSn6Ru4 PBE relaxed
# Calculated volume = 21.7 Å³/atom
# Formation enthalpy at 0 K = -0.33 eV per atom
# Crystal system = tetragonal
data_SmSn6Ru4
_chemical_formula_sum 'Sm1 Sn6 Ru4'
_symmetry_space_group_name_H-M 'P 1'
_symmetry_Int_Tables_number 1
_cell_length_a 6.9677
_cell_length_b 6.9677
_cell_length_c 6.9677
_cell_angle_alpha 120.22
_cell_angle_beta 120.22
_cell_angle_gamma 89.62
loop_
_symmetry_equiv_pos_as_xyz
'x,y,z'
loop_
_atom_site_label
_atom_site_type_symbol
_atom_site_fract_x
_atom_site_fract_y
_atom_site_fract_z
_atom_site_occupancy
Sn1 Sn 0.4707 0.4707 0.3528 1
Sn2 Sn 0.5293 0.8821 0.0000 1
Sn3 Sn 0.8821 0.5293 0.0000 1
Sn4 Sn 0.0000 0.5000 0.5000 1
Sn5 Sn 0.1179 0.1179 0.6472 1
Sn6 Sn 0.5000 0.0000 0.5000 1
Sm1 Sm 0.0000 0.0000 0.0000 1
Ru1 Ru 0.7505 0.7505 0.3454 1
Ru2 Ru 0.5950 0.2495 0.0000 1
Ru3 Ru 0.4050 0.4050 0.6546 1
Ru4 Ru 0.2495 0.5950 0.0000 1

---

(5)
# Ge3P6H42N12O25 PBE relaxed
# Calculated volume = 9.6 Å³/atom
# Formation enthalpy at 0 K = -1.23 eV per atom
# Crystal system = monoclinic
data_Ge3P6H42N12O25
_chemical_formula_sum 'Ge3 P6 H42 N12 O25'
_symmetry_space_group_name_H-M 'P 1'
_symmetry_Int_Tables_number 1
_cell_length_a 9.4640
_cell_length_b 9.4640
_cell_length_c 10.5080
_cell_angle_alpha 80.55
_cell_angle_beta 80.55
_cell_angle_gamma 109.93
loop_
_symmetry_equiv_pos_as_xyz
'x,y,z'
loop_
_atom_site_label
_atom_site_type_symbol
_atom_site_fract_x
_atom_site_fract_y
_atom_site_fract_z
_atom_site_occupancy
P1 P 0.1204 0.7870 0.1953 1
P2 P 0.5462 0.5462 0.8047 1
P3 P 0.2130 0.8796 0.8047 1
P4 P 0.4538 0.4538 0.1953 1
P5 P 0.7870 0.1204 0.1953 1
P6 P 0.8796 0.2130 0.8047 1
H1 H 0.3275 0.3275 0.5224 1
H2 H 0.4289 0.0956 0.0129 1
H3 H 0.0055 0.3378 0.4774 1
H4 H 0.6622 0.9945 0.5226 1
H5 H 0.6698 0.6698 0.3124 1
H6 H 0.9945 0.6622 0.5226 1
H7 H 0.4300 0.8741 0.1216 1
H8 H 0.9971 0.6642 0.6874 1
H9 H 0.0029 0.3358 0.3126 1
H10 H 0.9033 0.7927 0.8783 1
H11 H 0.1723 0.3949 0.3594 1
H12 H 0.8277 0.6051 0.6406 1
H13 H 0.0967 0.2073 0.1217 1
H14 H 0.6051 0.8277 0.6406 1
H15 H 0.5700 0.1259 0.8784 1
H16 H 0.1605 0.2709 0.6404 1
H17 H 0.3378 0.0055 0.4774 1
H18 H 0.0620 0.5057 0.3594 1
H19 H 0.8741 0.4300 0.1216 1
H20 H 0.2365 0.4592 0.8784 1
H21 H 0.7635 0.5408 0.1216 1
H22 H 0.7927 0.9033 0.8783 1
H23 H 0.1259 0.5700 0.8784 1
H24 H 0.5408 0.7635 0.1216 1
H25 H 0.2073 0.0967 0.1217 1
H26 H 0.3302 0.3302 0.6876 1
H27 H 0.2377 0.2377 0.9872 1
H28 H 0.0956 0.4289 0.0129 1
H29 H 0.6725 0.6725 0.4776 1
H30 H 0.3358 0.0029 0.3126 1
H31 H 0.7623 0.7623 0.0128 1
H32 H 0.5057 0.0620 0.3594 1
H33 H 0.4943 0.9380 0.6406 1
H34 H 0.8395 0.7291 0.3596 1
H35 H 0.5711 0.9044 0.9871 1
H36 H 0.3949 0.1723 0.3594 1
H37 H 0.4592 0.2365 0.8784 1
H38 H 0.6642 0.9971 0.6874 1
H39 H 0.9380 0.4943 0.6406 1
H40 H 0.9044 0.5711 0.9871 1
H41 H 0.2709 0.1605 0.6404 1
H42 H 0.7291 0.8395 0.3596 1
O1 O 0.2659 0.9323 0.1823 1
O2 O 0.6679 0.1646 0.1255 1
O3 O 0.9674 0.3015 0.6616 1
O4 O 0.8354 0.3321 0.8745 1
O5 O 0.6653 0.5022 0.8742 1
O6 O 0.6335 0.6335 0.6611 1
O7 O 0.7341 0.0677 0.8177 1
O8 O 0.3321 0.8354 0.8745 1
O9 O 0.0000 0.0000 0.5000 1
O10 O 0.3015 0.9674 0.6616 1
O11 O 0.5022 0.6653 0.8742 1
O12 O 0.0012 0.8312 0.1257 1
O13 O 0.4978 0.3347 0.1258 1
O14 O 0.1688 0.9988 0.8743 1
O15 O 0.3665 0.3665 0.3389 1
O16 O 0.0677 0.7341 0.8177 1
O17 O 0.8312 0.0012 0.1257 1
O18 O 0.1646 0.6679 0.1255 1
O19 O 0.5993 0.5993 0.1823 1
O20 O 0.6985 0.0326 0.3384 1
O21 O 0.3347 0.4978 0.1258 1
O22 O 0.9323 0.2659 0.1823 1
O23 O 0.9988 0.1688 0.8743 1
O24 O 0.0326 0.6985 0.3384 1
O25 O 0.4007 0.4007 0.8177 1
N1 N 0.0599 0.3930 0.3785 1
N2 N 0.7268 0.7268 0.3785 1
N3 N 0.9401 0.6070 0.6215 1
N4 N 0.4886 0.8218 0.0650 1
N5 N 0.2732 0.2732 0.6215 1
N6 N 0.1552 0.1552 0.0651 1
N7 N 0.3930 0.0599 0.3785 1
N8 N 0.8448 0.8448 0.9349 1
N9 N 0.6070 0.9401 0.6215 1
N10 N 0.1782 0.5114 0.9350 1
N11 N 0.8218 0.4886 0.0650 1
N12 N 0.5114 0.1782 0.9350 1
Ge1 Ge 0.0000 0.0000 0.0000 1
Ge2 Ge 0.3334 0.6666 0.0000 1
Ge3 Ge 0.6666 0.3334 0.0000 1

---

(6)
# Sc2Si4Mo3 PBE relaxed
# Calculated volume = 15.7 Å³/atom
# Formation enthalpy at 0 K = -0.73 eV per atom
# Crystal system = orthorhombic
data_Sc2Si4Mo3
_chemical_formula_sum 'Sc8 Si16 Mo12'
_symmetry_space_group_name_H-M 'P 1'
_symmetry_Int_Tables_number 1
_cell_length_a 6.5755
_cell_length_b 6.8020
_cell_length_c 12.6732
_cell_angle_alpha 90.00
_cell_angle_beta 90.00
_cell_angle_gamma 90.00
loop_
_symmetry_equiv_pos_as_xyz
'x,y,z'
loop_
_atom_site_label
_atom_site_type_symbol
_atom_site_fract_x
_atom_site_fract_y
_atom_site_fract_z
_atom_site_occupancy
Si1 Si 0.8343 0.5372 0.0450 1
Si2 Si 0.9680 0.8776 0.2500 1
Si3 Si 0.2004 0.3590 0.2500 1
Si4 Si 0.5320 0.3776 0.7500 1
Si5 Si 0.1657 0.4628 0.9550 1
Si6 Si 0.3343 0.9628 0.0450 1
Si7 Si 0.7004 0.1410 0.2500 1
Si8 Si 0.8343 0.5372 0.4550 1
Si9 Si 0.3343 0.9628 0.4550 1
Si10 Si 0.6657 0.0372 0.5450 1
Si11 Si 0.1657 0.4628 0.5450 1
Si12 Si 0.0320 0.1224 0.7500 1
Si13 Si 0.6657 0.0372 0.9550 1
Si14 Si 0.4680 0.6224 0.2500 1
Si15 Si 0.7996 0.6410 0.7500 1
Si16 Si 0.2996 0.8590 0.7500 1
Sc1 Sc 0.5045 0.6703 0.5923 1
Sc2 Sc 0.9955 0.1703 0.0923 1
Sc3 Sc 0.0045 0.8297 0.9077 1
Sc4 Sc 0.5045 0.6703 0.9077 1
Sc5 Sc 0.0045 0.8297 0.5923 1
Sc6 Sc 0.4955 0.3297 0.4077 1
Sc7 Sc 0.9955 0.1703 0.4077 1
Sc8 Sc 0.4955 0.3297 0.0923 1
Mo1 Mo 0.1711 0.6650 0.1244 1
Mo2 Mo 0.8353 0.4949 0.2500 1
Mo3 Mo 0.6711 0.8350 0.3756 1
Mo4 Mo 0.8289 0.3350 0.6244 1
Mo5 Mo 0.6711 0.8350 0.1244 1
Mo6 Mo 0.1647 0.5051 0.7500 1
Mo7 Mo 0.6647 0.9949 0.7500 1
Mo8 Mo 0.3289 0.1650 0.8756 1
Mo9 Mo 0.8289 0.3350 0.8756 1
Mo10 Mo 0.1711 0.6650 0.3756 1
Mo11 Mo 0.3289 0.1650 0.6244 1
Mo12 Mo 0.3353 0.0051 0.2500 1

---

Q: Which formula does entry 4 have?
A: SmSn6Ru4